No. 1
The following is a DFT calculation (PBE-GGA) of a geometry-optimized BaMg14Nb structure.

## Properties
uncorrected energy: -1.99 eV per atom
energy of formation: 0.17 eV per atom

abc: 6.537 6.480 10.455
angles: 90.00 90.00 119.71
Fractional positions:
Ba 0.157 0.328 0.125
Mg 0.169 0.334 0.625
Mg 0.164 0.832 0.625
Mg 0.660 0.328 0.125
Mg 0.665 0.336 0.625
Mg 0.660 0.832 0.125
Mg 0.665 0.829 0.625
Mg 0.335 0.154 0.383
Mg 0.335 0.154 0.867
Mg 0.335 0.681 0.383
Mg 0.335 0.681 0.867
Mg 0.821 0.161 0.392
Mg 0.821 0.161 0.858
Mg 0.845 0.673 0.366
Mg 0.845 0.673 0.884
Nb 0.188 0.844 0.125


No. 2
The following is a DFT calculation (PBE-GGA) of a geometry-optimized BaMg6Nb structure.

## Properties
uncorrected energy: -2.37 eV per atom
energy of formation: 0.33 eV per atom

abc: 5.277 6.720 11.519
angles: 90.00 90.00 90.00
Fractional positions:
Ba 0.000 0.500 0.340
Ba 0.000 0.000 0.840
Mg 0.000 0.276 0.088
Mg 0.000 0.724 0.088
Mg 0.000 0.500 0.830
Mg 0.500 0.273 0.922
Mg 0.500 0.727 0.922
Mg 0.500 0.500 0.661
Mg 0.000 0.776 0.588
Mg 0.000 0.224 0.588
Mg 0.000 0.000 0.330
Mg 0.500 0.773 0.422
Mg 0.500 0.227 0.422
Mg 0.500 0.000 0.161
Nb 0.500 0.500 0.148
Nb 0.500 0.000 0.648


No. 3
The following is a DFT calculation (PBE-GGA) of a geometry-optimized BaMg14Nb structure.

## Properties
uncorrected energy: -1.99 eV per atom
energy of formation: 0.16 eV per atom

abc: 6.593 6.593 10.284
angles: 90.00 90.00 120.00
Fractional positions:
Ba 0.167 0.333 0.125
Mg 0.179 0.840 0.125
Mg 0.163 0.832 0.625
Mg 0.660 0.321 0.125
Mg 0.668 0.337 0.625
Mg 0.660 0.840 0.125
Mg 0.668 0.832 0.625
Mg 0.335 0.165 0.394
Mg 0.335 0.165 0.856
Mg 0.335 0.670 0.394
Mg 0.335 0.670 0.856
Mg 0.830 0.165 0.394
Mg 0.830 0.165 0.856
Mg 0.833 0.667 0.369
Mg 0.833 0.667 0.881
Nb 0.167 0.333 0.625


Which value of energy of formation does entry 2 give?
0.33 eV per atom


Copy entry 2 word for word.
The following is a DFT calculation (PBE-GGA) of a geometry-optimized BaMg6Nb structure.

## Properties
uncorrected energy: -2.37 eV per atom
energy of formation: 0.33 eV per atom

abc: 5.277 6.720 11.519
angles: 90.00 90.00 90.00
Fractional positions:
Ba 0.000 0.500 0.340
Ba 0.000 0.000 0.840
Mg 0.000 0.276 0.088
Mg 0.000 0.724 0.088
Mg 0.000 0.500 0.830
Mg 0.500 0.273 0.922
Mg 0.500 0.727 0.922
Mg 0.500 0.500 0.661
Mg 0.000 0.776 0.588
Mg 0.000 0.224 0.588
Mg 0.000 0.000 0.330
Mg 0.500 0.773 0.422
Mg 0.500 0.227 0.422
Mg 0.500 0.000 0.161
Nb 0.500 0.500 0.148
Nb 0.500 0.000 0.648


What is the formula in the second record?
BaMg6Nb


What is the uncorrected energy in the first record?
-1.99 eV per atom